Li9Fe4Si4O20 PBE+U optimized geometry; energy of formation = -2.321 eV/atom; calculated volume = 12.318 Å³/atom; MP2020-corrected energy = -6.962 eV per atom; crystal system = triclinic; symmetry = P1, No. 1
1.0
-3.551 -2.926 -1.989
3.206 -4.505 0.993
-6.861 -1.568 14.574
Li Fe Si O
9 4 4 20
Direct
0.994 0.338 0.401
0.998 0.834 0.091
0.001 0.829 0.699
0.997 0.341 0.998
0.498 0.663 0.597
0.502 0.169 0.908
0.510 0.175 0.304
0.497 0.661 0.003
0.502 0.164 0.494
0.001 0.831 0.298
0.007 0.333 0.198
0.503 0.667 0.801
0.504 0.164 0.699
0.005 0.832 0.904
0.009 0.329 0.600
0.500 0.662 0.401
0.508 0.170 0.097
0.058 0.664 0.199
0.107 0.158 0.294
0.121 0.595 0.619
0.110 0.105 0.919
0.103 0.677 0.983
0.116 0.247 0.509
0.133 0.739 0.815
0.133 0.148 0.670
0.174 0.656 0.381
0.176 0.184 0.105
0.556 0.337 0.798
0.608 0.839 0.705
0.609 0.390 0.399
0.609 0.896 0.082
0.531 0.807 0.490
0.606 0.326 0.017
0.637 0.838 0.330
0.635 0.264 0.186
0.673 0.818 0.895
0.677 0.313 0.606